# 1
Na2Cd3Si3O10, optimized geometry, DFT GGA-PBE; energy of formation from the pure elements = -2.49 eV per atom; space-group type = C2/c
1.0
2.594 8.403 0.000
-2.594 8.403 0.000
0.000 0.855 11.119
Na Cd Si O
4 6 6 20
Cartesian
-1.366 7.998 5.202 Na
-1.366 9.237 0.358 Na
1.366 9.664 5.917 Na
1.366 8.425 10.761 Na
-1.494 11.319 3.279 Cd
-1.494 5.915 2.281 Cd
1.494 6.342 7.840 Cd
1.494 11.746 8.838 Cd
-1.297 4.629 5.559 Cd
1.297 4.202 0.000 Cd
0.997 6.214 4.430 Si
0.997 11.021 1.129 Si
-0.997 11.448 6.689 Si
-0.997 6.641 9.990 Si
1.657 8.617 2.780 Si
-1.657 9.044 8.339 Si
0.031 14.496 4.403 O
0.031 2.738 1.157 O
-0.031 3.165 6.716 O
-0.031 14.924 9.962 O
0.177 4.999 3.655 O
0.177 12.235 1.904 O
-0.177 12.662 7.463 O
-0.177 5.426 9.215 O
0.588 7.639 3.632 O
0.588 9.595 1.927 O
-0.588 10.022 7.486 O
-0.588 8.066 9.192 O
-0.072 1.064 3.866 O
-0.072 16.170 1.693 O
0.072 16.597 7.252 O
0.072 1.491 9.426 O
0.315 11.721 10.761 O
0.315 6.368 5.917 O
-0.315 5.940 0.357 O
-0.315 11.294 5.202 O

# 2
LiTiH6O2F6, optimized geometry, DFT GGA-PBE; ΔE to the lowest computed polymorph = 5 meV/atom; energy of formation from the pure elements = -2.20 eV per atom; space-group type = C2
1.0
3.962 3.679 -1.630
-1.621 3.597 4.385
4.219 -3.986 1.052
Li Ti H O F
1 1 6 2 6
Cartesian
2.081 1.825 -0.605 Li
0.028 -0.004 0.060 Ti
2.922 4.368 2.853 H
2.872 3.719 1.250 H
3.150 0.116 2.594 H
3.981 3.088 2.410 H
4.090 -1.146 1.901 H
2.915 -0.313 0.941 H
3.084 3.554 2.243 O
3.561 -0.277 1.741 O
5.195 2.370 2.812 F
4.149 1.886 -0.678 F
0.397 3.422 4.175 F
6.757 -0.221 0.877 F
2.737 0.715 3.868 F
0.719 1.658 0.944 F

# 3
Ba3LiTi3O8, optimized geometry, DFT GGA-PBE; ΔE to the lowest computed polymorph = 22 meV/atom; energy of formation from the pure elements = -3.03 eV per atom; space-group type = P1
1.0
5.869 -0.025 -0.128
-2.960 5.109 0.747
-0.116 0.893 7.756
Ba Li Ti O
3 1 3 8
Cartesian
-0.013 0.609 0.508 Ba
-0.142 3.578 5.190 Ba
2.871 2.046 2.600 Ba
2.755 4.065 7.255 Li
2.740 5.375 4.471 Ti
-0.021 3.746 1.709 Ti
2.864 1.615 5.990 Ti
-1.505 3.278 0.792 O
-0.061 2.126 2.900 O
2.923 0.542 0.096 O
1.462 4.689 3.247 O
1.464 0.862 5.071 O
1.372 3.167 0.653 O
2.859 3.406 5.463 O
4.467 0.985 5.286 O